[1]
Density functional theory data (PBE) for DyFeCu after structural relaxation.

For the energy of formation, the calculation gives -56.0 meV per atom. The calculation puts the size of the total moment at 4.8 Bohr magnetons per cell.

The structure belongs to space group Imma (No. 74); the cell edges are 5.063, 5.106 and 7.561 Å and the angles 90.00°, 90.00° and 90.00°. The inequivalent atoms are Dy at (0.000, 0.250, 0.121), Fe at (0.250, 0.250, 0.750) and Cu at (0.000, 0.000, 0.500).

[2]
Density functional theory data (PBE) for CsRbMg6O7 after structural relaxation.

For the energy of formation, the calculation gives -1993.0 meV per atom. The calculation puts the size of the total moment at 0.4 Bohr magnetons per cell.

The structure belongs to space group P4mm (No. 99); the cell edges are 4.444, 4.444 and 11.733 Å and the angles 90.00°, 90.00° and 90.00°. The inequivalent atoms are Cs at (0.000, 0.000, 0.000), Rb at (0.500, 0.500, 0.112), Mg at (0.000, 0.000, 0.592), Mg at (0.000, 0.500, 0.411), Mg at (0.000, 0.500, 0.788), Mg at (0.500, 0.500, 0.604), O at (0.000, 0.000, 0.401), O at (0.000, 0.000, 0.764), O at (0.000, 0.500, 0.580), O at (0.000, 0.500, 0.971) and O at (0.500, 0.500, 0.769).

[3]
Density functional theory data (PBE) for CsRb2InCl6 after structural relaxation.

For the energy of formation, the calculation gives -1958.0 meV per atom. The calculation puts the size of the total moment at 0.0 Bohr magnetons per cell.

The structure belongs to space group Fm-3m (No. 225); the cell edges are 11.561, 11.561 and 11.561 Å and the angles 90.00°, 90.00° and 90.00°. The inequivalent atoms are Cs at (0.000, 0.000, 0.000), Rb at (0.250, 0.250, 0.250), In at (0.000, 0.000, 0.500) and Cl at (0.000, 0.000, 0.280).

Theoretical density (computed, g cm⁻³): 9.58 3.41 2.71